Material: Gd2TiO5
Method: DFT, GGA-PBE
State: relaxed

Lattice parameters (Å, degrees): 3.7709 10.5631 11.4171 90.00 90.00 90.00
Sites, in units of the cell vectors:
O: 0.2500 0.5121 0.8444
Gd: 0.2500 0.1368 0.9439
O: 0.2500 0.4935 0.3957
O: 0.7500 0.7348 0.8821
Gd: 0.7500 0.3881 0.7773
O: 0.2500 0.2241 0.4591
O: 0.7500 0.0065 0.8957
O: 0.2500 0.2652 0.1179
Gd: 0.7500 0.3632 0.4439
O: 0.7500 0.5065 0.6043
Gd: 0.2500 0.6119 0.2227
O: 0.7500 0.7759 0.5409
Ti: 0.7500 0.3231 0.1207
O: 0.2500 0.7652 0.3821
O: 0.7500 0.2394 0.2700
O: 0.7500 0.4879 0.1556
Gd: 0.2500 0.6368 0.5561
O: 0.2500 0.7606 0.7300
Gd: 0.7500 0.8881 0.7227
Ti: 0.2500 0.6769 0.8793
O: 0.7500 0.2759 0.9591
Gd: 0.2500 0.1119 0.2773
Ti: 0.7500 0.8231 0.3793
O: 0.7500 0.2348 0.6179
Ti: 0.2500 0.1769 0.6207
O: 0.2500 0.0121 0.6556
Gd: 0.7500 0.8632 0.0561
O: 0.7500 0.7394 0.2300
O: 0.2500 0.7241 0.0409
O: 0.7500 0.9879 0.3444
O: 0.2500 0.9935 0.1043
O: 0.2500 0.2606 0.7700

Summary:
Energy, eV per atom: -11.00
Calculated density, g/cm³: 6.5
Space-group type: No. 62
V, Å³ per cell: 455
Energy relative to the elements, eV per atom: -3.828

Material: RbC2S2NO5F6
Method: DFT, GGA-PBE
State: relaxed

Lattice parameters (Å, degrees): 12.4414 12.4414 12.4414 95.57 95.57 143.68
Sites, in units of the cell vectors:
O: 0.3521 0.7518 0.1419
S: 0.2861 0.0576 0.3272
O: 0.1506 0.7528 0.8708
O: 0.9541 0.0802 0.3773
F: 0.5584 0.2141 0.5017
F: 0.9743 0.1311 0.9634
O: 0.2209 0.5145 0.8225
F: 0.7859 0.2876 0.3443
O: 0.6304 0.8855 0.7571
C: 0.0396 0.6097 0.6509
F: 0.3809 0.3147 0.1080
O: 0.6099 0.2102 0.8581
C: 0.8114 0.8757 0.1661
O: 0.7202 0.8494 0.6022
O: 0.6920 0.3984 0.1775
C: 0.3547 0.1886 0.0643
N: 0.4597 0.2325 0.2847
F: 0.0734 0.5634 0.3421
S: 0.7850 0.9548 0.2830
S: 0.6718 0.5020 0.7170
F: 0.0332 0.4069 0.4484
C: 0.7096 0.6453 0.8339
Rb: 0.4250 0.4824 0.3988
N: 0.9477 0.1750 0.7153
C: 0.6113 0.9604 0.5700
N: 0.8250 0.5403 0.7727
F: 0.7124 0.0567 0.4983
Rb: 0.9738 0.5750 0.0574
O: 0.8820 0.2798 0.1292
N: 0.7675 0.0523 0.2273
C: 0.9588 0.3887 0.3491
F: 0.9891 0.0257 0.1568
S: 0.7304 0.9589 0.6728
O: 0.9198 0.2971 0.8739
O: 0.7898 0.6479 0.3997
F: 0.4366 0.7787 0.5101
F: 0.1677 0.0109 0.0366
S: 0.9424 0.2696 0.2285
S: 0.0452 0.3282 0.8302
F: 0.8689 0.8323 0.8432
Rb: 0.5176 0.9165 0.9426
C: 0.3903 0.0412 0.4300
F: 0.4152 0.9668 0.3737
O: 0.4855 0.3080 0.7064
F: 0.7781 0.7479 0.1884
F: 0.9585 0.5848 0.5516
F: 0.4102 0.2219 0.9698
F: 0.7272 0.6191 0.9338
F: 0.9433 0.4416 0.6557
O: 0.1145 0.8716 0.7449
O: 0.6016 0.7791 0.2936
F: 0.2066 0.2728 0.8920
F: 0.5596 0.5898 0.8116
O: 0.2482 0.3901 0.6003
O: 0.7029 0.5769 0.6227
S: 0.0411 0.7139 0.7715
O: 0.1284 0.8733 0.2429
O: 0.2472 0.1180 0.3978
Rb: 0.0835 0.0262 0.6012
C: 0.1243 0.2904 0.9357
F: 0.2521 0.4404 0.0302
S: 0.4980 0.2150 0.1698
F: 0.6853 0.7934 0.0662
O: 0.1267 0.3696 0.2551
F: 0.5931 0.0415 0.6263
F: 0.2213 0.7314 0.6579
O: 0.4231 0.0459 0.1261
F: 0.2686 0.9266 0.4899

Summary:
Energy, eV per atom: -5.31
Calculated density, g/cm³: 2.3
Space-group type: No. 82
V, Å³ per cell: 1084
Energy relative to the elements, eV per atom: -1.421
M_tot, μB per formula unit: 2.00

Material: LuNi2Ge2
Method: DFT, GGA-PBE
State: relaxed

Lattice parameters (Å, degrees): 5.6479 5.6479 5.6479 138.29 138.29 60.46
Sites, in units of the cell vectors:
Ge: 0.6266 0.6266 0.0000
Lu: 0.0000 0.0000 0.0000
Ni: 0.2500 0.7500 0.5000
Ge: 0.3734 0.3734 0.0000
Ni: 0.7500 0.2500 0.5000

Summary:
Energy, eV per atom: -5.71
Calculated density, g/cm³: 9.2
Space-group type: No. 139
V, Å³ per cell: 79
Energy relative to the elements, eV per atom: -0.645

Material: KTmP2O7
Method: DFT, GGA-PBE
State: relaxed

Lattice parameters (Å, degrees): 10.9161 7.7748 8.7244 73.38 90.00 90.00
Sites, in units of the cell vectors:
K: 0.8214 0.8229 0.5601
P: 0.9023 0.1301 0.1792
O: 0.1101 0.6733 0.5204
O: 0.4347 0.6709 0.3045
O: 0.2699 0.5477 0.7417
K: 0.6786 0.8229 0.0601
O: 0.9995 0.9944 0.7210
O: 0.0914 0.8549 0.9973
O: 0.8899 0.3267 0.4796
O: 0.9347 0.3291 0.1955
O: 0.2262 0.9246 0.7508
O: 0.2301 0.5477 0.2417
P: 0.3655 0.5639 0.1929
O: 0.3899 0.6733 0.0204
Tm: 0.3997 0.7637 0.7569
P: 0.0977 0.8699 0.8208
O: 0.7738 0.0754 0.2492
P: 0.5977 0.1301 0.6792
O: 0.7699 0.4523 0.7583
P: 0.4023 0.8699 0.3208
K: 0.1786 0.1771 0.4399
O: 0.4995 0.0056 0.7790
Tm: 0.8997 0.2363 0.7431
O: 0.0005 0.0056 0.2790
P: 0.8655 0.4361 0.3071
O: 0.0743 0.3790 0.7363
K: 0.3214 0.1771 0.9399
O: 0.7262 0.0754 0.7492
O: 0.6101 0.3267 0.9796
Tm: 0.6003 0.2363 0.2431
O: 0.4257 0.3790 0.2363
O: 0.9086 0.1451 0.0027
O: 0.9257 0.6210 0.2637
P: 0.1345 0.5639 0.6929
O: 0.5743 0.6210 0.7637
O: 0.7301 0.4523 0.2583
O: 0.0653 0.6709 0.8045
Tm: 0.1003 0.7637 0.2569
P: 0.6345 0.4361 0.8071
O: 0.2738 0.9246 0.2508
O: 0.5914 0.1451 0.5027
O: 0.5005 0.9944 0.2210
O: 0.4086 0.8549 0.4973
O: 0.5653 0.3291 0.6955

Summary:
Energy, eV per atom: -7.36
Calculated density, g/cm³: 3.6
Space-group type: No. 14
V, Å³ per cell: 710
Energy relative to the elements, eV per atom: -3.158
M_tot, μB per formula unit: 0.00

Material: AlH12C3N3
Method: DFT, GGA-PBE
State: relaxed

Lattice parameters (Å, degrees): 9.6435 9.6435 17.2523 84.01 84.01 82.49
Sites, in units of the cell vectors:
C: 0.4725 0.7041 0.8052
H: 0.9365 0.8983 0.6944
H: 0.0832 0.8856 0.9851
C: 0.6919 0.9427 0.9218
H: 0.8078 0.0488 0.7928
H: 0.7464 0.3668 0.3292
C: 0.5871 0.6199 0.5615
H: 0.7013 0.0906 0.4905
H: 0.4131 0.1589 0.7356
N: 0.8053 0.3991 0.8217
C: 0.3801 0.4129 0.9385
N: 0.8994 0.5011 0.7900
C: 0.2959 0.5275 0.6948
C: 0.4129 0.3801 0.4385
H: 0.1249 0.2439 0.7826
Al: 0.3041 0.6959 0.2500
N: 0.6009 0.1947 0.6783
H: 0.1144 0.9168 0.5149
N: 0.7563 0.1281 0.8246
N: 0.6393 0.4909 0.6844
H: 0.1552 0.1588 0.8765
H: 0.6332 0.2536 0.1708
N: 0.4816 0.6268 0.1019
Al: 0.8893 0.2216 0.8730
H: 0.6619 0.4802 0.0831
H: 0.3381 0.5198 0.9169
C: 0.5275 0.2959 0.1948
H: 0.1050 0.4152 0.0986
H: 0.0255 0.6391 0.8266
H: 0.8983 0.9365 0.1944
N: 0.4989 0.1006 0.7100
H: 0.9094 0.2987 0.0095
H: 0.2475 0.7793 0.9864
H: 0.1922 0.9512 0.2072
H: 0.7515 0.8626 0.8855
N: 0.1281 0.7563 0.3246
H: 0.9514 0.4267 0.6614
H: 0.7561 0.8751 0.7174
H: 0.4132 0.3912 0.5013
H: 0.9168 0.1144 0.0149
N: 0.1947 0.6009 0.1783
N: 0.5011 0.8994 0.2900
Al: 0.7784 0.1107 0.6270
H: 0.5868 0.6088 0.4987
H: 0.5637 0.7072 0.1883
H: 0.4152 0.1050 0.5986
N: 0.3607 0.5091 0.3156
H: 0.5376 0.6805 0.8548
H: 0.7525 0.2207 0.0136
H: 0.0338 0.2407 0.5348
N: 0.2437 0.8719 0.1754
Al: 0.6959 0.3041 0.7500
H: 0.3668 0.7464 0.8292
H: 0.2439 0.1249 0.2826
H: 0.8412 0.8448 0.6235
H: 0.7593 0.9662 0.9652
H: 0.0486 0.5733 0.3386
N: 0.0719 0.6424 0.3753
H: 0.5572 0.2745 0.9207
Al: 0.2216 0.8893 0.3730
H: 0.4428 0.7255 0.0793
H: 0.3195 0.4624 0.6452
H: 0.9745 0.3609 0.1734
Al: 0.1107 0.7784 0.1270
H: 0.6003 0.8987 0.9533
H: 0.4661 0.0474 0.3741
H: 0.4267 0.9514 0.1614
H: 0.8987 0.6003 0.4533
H: 0.7912 0.5142 0.2673
H: 0.0906 0.7013 0.9905
H: 0.2485 0.1374 0.1145
N: 0.3576 0.9281 0.1247
H: 0.1588 0.1552 0.3765
H: 0.4802 0.6619 0.5831
H: 0.3609 0.9745 0.6734
C: 0.9427 0.6919 0.4218
C: 0.8625 0.2129 0.9884
C: 0.0307 0.4495 0.1484
N: 0.4909 0.6393 0.1844
C: 0.6199 0.5871 0.0615
H: 0.2088 0.4858 0.7327
C: 0.8328 0.9142 0.6711
H: 0.2928 0.4363 0.3117
C: 0.0858 0.1672 0.8289
H: 0.3029 0.3407 0.9309
H: 0.5584 0.2697 0.6369
N: 0.9281 0.3576 0.6247
H: 0.1017 0.0635 0.8056
H: 0.5142 0.7912 0.7673
H: 0.5733 0.0486 0.8386
H: 0.0474 0.4661 0.8741
C: 0.7041 0.4725 0.3052
H: 0.2987 0.9094 0.5095
N: 0.6424 0.0719 0.8753
H: 0.5848 0.8950 0.4014
H: 0.5198 0.3381 0.4169
H: 0.2697 0.5584 0.1369
N: 0.3991 0.8053 0.3217
C: 0.7871 0.1375 0.5116
H: 0.0635 0.1017 0.3056
H: 0.8856 0.0832 0.4851
H: 0.2407 0.0338 0.0348
H: 0.6593 0.6971 0.5691
H: 0.8411 0.5869 0.7644
H: 0.7793 0.2475 0.4864
N: 0.6268 0.4816 0.6019
C: 0.1375 0.7871 0.0116
H: 0.9512 0.1922 0.7072
H: 0.0488 0.8078 0.2928
H: 0.1013 0.3997 0.5467
H: 0.4858 0.2088 0.2327
H: 0.1589 0.4131 0.2356
N: 0.1006 0.4989 0.2100
H: 0.3407 0.3029 0.4309
H: 0.9526 0.5339 0.1259
H: 0.3997 0.1013 0.0467
C: 0.4495 0.0307 0.6484
H: 0.5869 0.8411 0.2644
H: 0.7072 0.5637 0.6883
H: 0.3912 0.4132 0.0013
H: 0.6391 0.0255 0.3266
C: 0.9142 0.8328 0.1711
H: 0.6088 0.5868 0.9987
H: 0.8950 0.5848 0.9014
H: 0.7303 0.4416 0.8631
C: 0.1672 0.0858 0.3289
H: 0.2536 0.6332 0.6708
N: 0.5184 0.3732 0.8981
N: 0.5091 0.3607 0.8156
C: 0.0573 0.3081 0.5782
N: 0.8719 0.2437 0.6754
H: 0.8626 0.7515 0.3855
C: 0.9693 0.5505 0.8516
C: 0.3081 0.0573 0.0782
H: 0.9662 0.7593 0.4652
H: 0.6971 0.6593 0.0691
C: 0.2129 0.8625 0.4884
N: 0.3732 0.5184 0.3981
H: 0.5339 0.9526 0.6259
H: 0.2745 0.5572 0.4207
C: 0.5505 0.9693 0.3516
H: 0.8751 0.7561 0.2174
H: 0.6805 0.5376 0.3548
H: 0.2207 0.7525 0.5136
H: 0.4624 0.3195 0.1452
H: 0.7255 0.4428 0.5793
Al: 0.5363 0.4637 0.2500
H: 0.8448 0.8412 0.1235
H: 0.4416 0.7303 0.3631
Al: 0.4637 0.5363 0.7500
H: 0.1374 0.2485 0.6145
H: 0.4363 0.2928 0.8117

Summary:
Energy, eV per atom: -5.28
Calculated density, g/cm³: 1.0
Space-group type: No. 15
V, Å³ per cell: 1575
Energy relative to the elements, eV per atom: -0.219
M_tot, μB per formula unit: 0.00

Material: GeTePt
Method: DFT, GGA-PBE
State: relaxed

Lattice parameters (Å, degrees): 6.3501 6.3501 6.3501 90.00 90.00 90.00
Sites, in units of the cell vectors:
Te: 0.6214 0.8786 0.1214
Ge: 0.8764 0.3764 0.1236
Te: 0.8786 0.1214 0.6214
Pt: 0.9867 0.5133 0.4867
Pt: 0.0133 0.0133 0.0133
Te: 0.3786 0.3786 0.3786
Ge: 0.3764 0.1236 0.8764
Ge: 0.1236 0.8764 0.3764
Pt: 0.4867 0.9867 0.5133
Ge: 0.6236 0.6236 0.6236
Te: 0.1214 0.6214 0.8786
Pt: 0.5133 0.4867 0.9867

Summary:
Energy, eV per atom: -5.06
Calculated density, g/cm³: 10.3
Space-group type: No. 198
V, Å³ per cell: 256
Energy relative to the elements, eV per atom: -0.450

Material: Y2GaCo2
Method: DFT, GGA-PBE
State: relaxed

Lattice parameters (Å, degrees): 4.0530 5.4515 5.3936 120.36 112.07 90.00
Sites, in units of the cell vectors:
Y: 0.7934 0.2934 0.5868
Y: 0.2066 0.7066 0.4132
Co: 0.5000 0.2861 0.0000
Co: 0.5000 0.7139 0.0000
Ga: 0.0000 0.0000 0.0000

Summary:
Energy, eV per atom: -6.44
Calculated density, g/cm³: 6.6
Space-group type: No. 71
V, Å³ per cell: 93
Energy relative to the elements, eV per atom: -0.401

Material: Tb3Rh2
Method: DFT, GGA-PBE
State: relaxed

Lattice parameters (Å, degrees): 14.9970 14.9970 14.9970 135.76 135.76 64.35
Sites, in units of the cell vectors:
Rh: 0.0350 0.8414 0.5000
Rh: 0.8678 0.8678 0.0000
Tb: 0.8873 0.3873 0.5000
Tb: 0.0043 0.1326 0.2795
Tb: 0.4834 0.7732 0.8703
Tb: 0.7752 0.6470 0.2795
Rh: 0.6322 0.6322 0.0000
Tb: 0.2752 0.9957 0.1282
Tb: 0.6132 0.4834 0.7103
Tb: 0.2500 0.7500 0.5000
Rh: 0.9272 0.4272 0.1423
Tb: 0.3873 0.8873 0.5000
Rh: 0.5728 0.7151 0.5000
Rh: 0.0000 0.0000 0.0000
Tb: 0.3674 0.4957 0.7205
Rh: 0.2151 0.0728 0.5000
Tb: 0.0971 0.3868 0.8703
Tb: 0.5043 0.2248 0.8718
Tb: 0.2732 0.9834 0.8703
Tb: 0.1127 0.6127 0.5000
Rh: 0.2500 0.2500 0.0000
Tb: 0.3511 0.1489 0.5000
Rh: 0.4272 0.2849 0.5000
Tb: 0.7268 0.0166 0.1297
Tb: 0.5166 0.2268 0.1297
Tb: 0.7248 0.0043 0.8718
Rh: 0.4020 0.9020 0.3040
Tb: 0.6489 0.8511 0.5000
Rh: 0.1322 0.1322 0.0000
Tb: 0.2268 0.0971 0.7103
Tb: 0.6326 0.5043 0.2795
Tb: 0.1470 0.2752 0.2795
Rh: 0.5350 0.0350 0.1936
Rh: 0.1586 0.6586 0.1936
Tb: 0.0166 0.8868 0.2897
Tb: 0.8530 0.7248 0.7205
Tb: 0.1326 0.8530 0.1282
Rh: 0.5980 0.0980 0.6960
Rh: 0.7500 0.7500 0.0000
Tb: 0.7500 0.2500 0.5000
Tb: 0.5971 0.7268 0.7103
Rh: 0.4650 0.9650 0.8064
Tb: 0.6470 0.3674 0.8718
Tb: 0.2248 0.3530 0.7205
Tb: 0.3868 0.5166 0.2897
Tb: 0.9957 0.8674 0.7205
Rh: 0.9020 0.5980 0.5000
Rh: 0.6586 0.4650 0.5000
Rh: 0.3414 0.5350 0.5000
Tb: 0.3530 0.6326 0.1282
Rh: 0.9650 0.1586 0.5000
Tb: 0.9029 0.6132 0.1297
Rh: 0.3678 0.3678 0.0000
Rh: 0.5000 0.5000 0.0000
Tb: 0.7732 0.9029 0.2897
Rh: 0.7151 0.2151 0.1423
Tb: 0.4029 0.2732 0.2897
Tb: 0.8674 0.1470 0.8718
Rh: 0.0980 0.4020 0.5000
Tb: 0.8868 0.5971 0.8703
Tb: 0.4957 0.7752 0.1282
Rh: 0.8414 0.3414 0.8064
Tb: 0.1489 0.6489 0.7978
Tb: 0.9834 0.1132 0.7103
Rh: 0.0728 0.5728 0.8577
Tb: 0.6127 0.1127 0.5000
Rh: 0.7849 0.9272 0.5000
Rh: 0.2849 0.7849 0.8577
Tb: 0.8511 0.3511 0.2022
Tb: 0.1132 0.4029 0.1297

Summary:
Energy, eV per atom: -6.47
Calculated density, g/cm³: 9.8
Space-group type: No. 140
V, Å³ per cell: 1619
Energy relative to the elements, eV per atom: -0.746
M_tot, μB per formula unit: 0.00